(1)
Computed, not measured: a relaxed structure of Cs2CdFeC6N6 at the PBE-GGA level of DFT.

The space group is Fm-3m (No. 225) and the conventional cell measures 10.791, 10.791 and 10.791 Å, with angles of 90.00, 90.00 and 90.00 degrees. The inequivalent atoms are Cs at (0.250, 0.250, 0.250), Cd at (0.000, 0.000, 0.000), Fe at (0.000, 0.000, 0.500), C at (0.000, 0.000, 0.326) and N at (0.000, 0.000, 0.216).

As for the total energy: -473.730 eV per cell. The calculation puts the spin magnetization at 0.00 μB/atom.

***

(2)
Computed, not measured: a relaxed structure of CdGe4C8S10N2 at the PBE-GGA level of DFT.

The space group is I-4 (No. 82) and the conventional cell measures 8.512, 8.512 and 14.555 Å, with angles of 90.00, 90.00 and 90.00 degrees. The inequivalent atoms are Cd at (0.000, 0.000, 0.000), Ge at (0.101, 0.319, 0.834), C at (0.044, 0.628, 0.307), C at (0.088, 0.861, 0.484), S at (0.000, 0.500, 0.568), S at (0.088, 0.798, 0.752), S at (0.130, 0.771, 0.093), N at (0.000, 0.000, 0.500) and N at (0.000, 0.500, 0.250).

As for the total energy: -231.794 eV per cell. Its energy above the most stable polymorph in this dataset is 0.404 eV/atom. The calculation puts the spin magnetization at 0.08 μB/atom.

***

(3)
Computed, not measured: a relaxed structure of CdGe4C8S10N2 at the PBE-GGA level of DFT.

The space group is I-4 (No. 82) and the conventional cell measures 8.256, 8.256 and 17.024 Å, with angles of 90.00, 90.00 and 90.00 degrees. The inequivalent atoms are Cd at (0.000, 0.000, 0.000), Ge at (0.131, 0.334, 0.823), C at (0.041, 0.571, 0.171), C at (0.085, 0.858, 0.484), S at (0.000, 0.500, 0.592), S at (0.050, 0.814, 0.755), S at (0.116, 0.720, 0.114), N at (0.000, 0.000, 0.500) and N at (0.000, 0.500, 0.250).

As for the total energy: -251.976 eV per cell. Its energy above the most stable polymorph in this dataset is 0.000 eV/atom. The calculation puts the spin magnetization at 0.00 μB/atom.